Crystalline CaIn2Ni at its relaxed geometry, computed with meta-GGA r2SCAN.

For the formation energy, the calculation gives -41.8 kJ per mole of atoms. Its size of the total moment is 0.00 Bohr magnetons per cell.

Cell lengths 4.3168, 10.5026, 7.5479 Å; angles 90.00, 90.00, 90.00 degrees
Space group Cmcm (No. 63)
Inequivalent atoms, fractional coordinates:
1 Ca 0.0000 0.0599 0.2500 [4 per cell]
2 In 0.0000 0.3487 0.0529 [8 per cell]
3 Ni 0.0000 0.2184 0.7500 [4 per cell]

Crystalline CaIn2Pd at its relaxed geometry, computed with meta-GGA r2SCAN.

For the formation energy, the calculation gives -68.3 kJ per mole of atoms. Its size of the total moment is 0.00 Bohr magnetons per cell.

Cell lengths 4.4753, 7.8095, 5.6861 Å; angles 90.00, 112.95, 90.00 degrees
Space group P2_1/m (No. 11)
Inequivalent atoms, fractional coordinates:
1 Ca 0.0661 0.2500 0.1310 [2 per cell]
2 In 0.3545 0.0533 0.7091 [4 per cell]
3 Pd 0.2161 0.7500 0.4337 [2 per cell]

Crystalline Ca2InPd2 at its relaxed geometry, computed with meta-GGA r2SCAN.

For the formation energy, the calculation gives -73.3 kJ per mole of atoms. Its size of the total moment is 0.00 Bohr magnetons per cell.

Cell lengths 10.1636, 5.7479, 8.1668 Å; angles 90.00, 104.73, 90.00 degrees
Space group C2/c (No. 15)
Inequivalent atoms, fractional coordinates:
1 Ca 0.1489 0.1465 0.1492 [8 per cell]
2 In 0.0000 0.3478 0.7500 [4 per cell]
3 Pd 0.1339 0.3620 0.5028 [8 per cell]

Crystalline CaInPd at its relaxed geometry, computed with meta-GGA r2SCAN.

For the formation energy, the calculation gives -73.8 kJ per mole of atoms. Its size of the total moment is 0.00 Bohr magnetons per cell.

Cell lengths 7.3100, 4.4203, 8.4304 Å; angles 90.00, 90.00, 90.00 degrees
Space group Pnma (No. 62)
Inequivalent atoms, fractional coordinates:
1 Ca 0.0330 0.2500 0.1776 [4 per cell]
2 In 0.1448 0.2500 0.5617 [4 per cell]
3 Pd 0.2314 0.7500 0.3719 [4 per cell]

Crystalline CaIn2Pt at its relaxed geometry, computed with meta-GGA r2SCAN.

For the formation energy, the calculation gives -79.1 kJ per mole of atoms. Its size of the total moment is 0.00 Bohr magnetons per cell.

Cell lengths 4.4086, 10.5676, 7.8177 Å; angles 90.00, 90.00, 90.00 degrees
Space group Cmcm (No. 63)
Inequivalent atoms, fractional coordinates:
1 Ca 0.0000 0.0671 0.2500 [4 per cell]
2 In 0.0000 0.3561 0.0519 [8 per cell]
3 Pt 0.0000 0.2174 0.7500 [4 per cell]

Crystalline CaIn4Rh at its relaxed geometry, computed with meta-GGA r2SCAN.

For the formation energy, the calculation gives -49.8 kJ per mole of atoms. Its size of the total moment is 0.00 Bohr magnetons per cell.

Cell lengths 8.7075, 4.2783, 7.4469 Å; angles 90.00, 90.00, 90.00 degrees
Space group Pmma (No. 51)
Inequivalent atoms, fractional coordinates:
1 Ca 0.2500 0.0000 0.1002 [2 per cell]
2 In 0.0000 0.0000 0.5000 [2 per cell]
3 In 0.0650 0.5000 0.8125 [4 per cell]
4 In 0.2500 0.5000 0.4338 [2 per cell]
5 Rh 0.2500 0.0000 0.6926 [2 per cell]

Crystalline CaInRh at its relaxed geometry, computed with meta-GGA r2SCAN.

For the formation energy, the calculation gives -59.1 kJ per mole of atoms. Its size of the total moment is 0.00 Bohr magnetons per cell.

Cell lengths 7.3070, 4.3560, 8.2597 Å; angles 90.00, 90.00, 90.00 degrees
Space group Pnma (No. 62)
Inequivalent atoms, fractional coordinates:
1 Ca 0.0253 0.2500 0.1767 [4 per cell]
2 In 0.1503 0.2500 0.5666 [4 per cell]
3 Rh 0.2228 0.7500 0.3782 [4 per cell]

Crystalline SrCaIn2 at its relaxed geometry, computed with meta-GGA r2SCAN.

For the formation energy, the calculation gives -52.2 kJ per mole of atoms. Its size of the total moment is 0.00 Bohr magnetons per cell.

Cell lengths 7.9071, 7.9071, 7.9071 Å; angles 90.00, 90.00, 90.00 degrees
Space group Fm-3m (No. 225)
Inequivalent atoms, fractional coordinates:
1 Sr 0.0000 0.0000 0.0000 [4 per cell]
2 Ca 0.0000 0.0000 0.5000 [4 per cell]
3 In 0.2500 0.2500 0.2500 [8 per cell]

Crystalline CaTmIn2 at its relaxed geometry, computed with meta-GGA r2SCAN.

For the formation energy, the calculation gives -52.1 kJ per mole of atoms. Its size of the total moment is 0.00 Bohr magnetons per cell.

Cell lengths 7.5223, 7.5223, 7.5223 Å; angles 90.00, 90.00, 90.00 degrees
Space group Fm-3m (No. 225)
Inequivalent atoms, fractional coordinates:
1 Ca 0.0000 0.0000 0.0000 [4 per cell]
2 Tm 0.0000 0.0000 0.5000 [4 per cell]
3 In 0.2500 0.2500 0.2500 [8 per cell]

Crystalline Ca2ZnIn at its relaxed geometry, computed with meta-GGA r2SCAN.

For the formation energy, the calculation gives -39.3 kJ per mole of atoms. Its size of the total moment is 0.00 Bohr magnetons per cell.

Cell lengths 7.5154, 7.5154, 7.5154 Å; angles 90.00, 90.00, 90.00 degrees
Space group Fm-3m (No. 225)
Inequivalent atoms, fractional coordinates:
1 Ca 0.2500 0.2500 0.2500 [8 per cell]
2 Zn 0.0000 0.0000 0.0000 [4 per cell]
3 In 0.0000 0.0000 0.5000 [4 per cell]

Crystalline LiCa2Ir at its relaxed geometry, computed with meta-GGA r2SCAN.

For the formation energy, the calculation gives -22.5 kJ per mole of atoms. Its size of the total moment is 0.00 Bohr magnetons per cell.

Cell lengths 7.0493, 7.0493, 7.0493 Å; angles 90.00, 90.00, 90.00 degrees
Space group Fm-3m (No. 225)
Inequivalent atoms, fractional coordinates:
1 Li 0.0000 0.0000 0.0000 [4 per cell]
2 Ca 0.2500 0.2500 0.2500 [8 per cell]
3 Ir 0.0000 0.0000 0.5000 [4 per cell]

Crystalline Ca3Ir3N5 at its relaxed geometry, computed with meta-GGA r2SCAN.

For the formation energy, the calculation gives -28.8 kJ per mole of atoms. Its size of the total moment is 0.75 Bohr magnetons per cell.

Cell lengths 6.6397, 6.6603, 8.1710 Å; angles 73.90, 71.95, 76.53 degrees
Space group P-1 (No. 2)
Inequivalent atoms, fractional coordinates:
1 Ca 0.0626 0.1538 0.2877 [2 per cell]
2 Ca 0.1418 0.3287 0.6509 [2 per cell]
3 Ca 0.4353 0.8583 0.8904 [2 per cell]
4 Ir 0.2146 0.5008 0.9574 [2 per cell]
5 Ir 0.3934 0.8533 0.5300 [2 per cell]
6 Ir 0.4001 0.6639 0.2627 [2 per cell]
7 N 0.1596 0.7766 0.4340 [2 per cell]
8 N 0.2138 0.6104 0.1412 [2 per cell]
9 N 0.3220 0.2131 0.9043 [2 per cell]
10 N 0.3430 0.1563 0.3972 [2 per cell]
11 N 0.3469 0.5615 0.6943 [2 per cell]

Number 1: calculated density 6.37 Mg/m³. Number 2: calculated density 6.83 Mg/m³. Number 3: calculated density 5.87 Mg/m³. Number 4: calculated density 6.37 Mg/m³. Number 5: calculated density 8.48 Mg/m³. Number 6: calculated density 7.21 Mg/m³. Number 7: calculated density 6.51 Mg/m³. Number 8: calculated density 4.80 Mg/m³. Number 9: calculated density 6.84 Mg/m³. Number 10: calculated density 4.07 Mg/m³. Number 11: calculated density 5.30 Mg/m³. Number 12: calculated density 7.82 Mg/m³.